[1]
Compound: Rb2Ge2Se5
Source: Materials Project
Functional: PBE
Structure: relaxed

Summary:
- theoretical density (kg/m3) = 3647
- energy (eV per cell) = -139.87
- space-group type = No. 15
- E_form (eV per atom) = -0.960

a = 11.768 Å, b = 11.768 Å, c = 9.626 Å
α = 99.67°, β = 99.67°, γ = 90.04°
Atoms (fractional coordinates):
Rb (0.053, 0.212, 0.114)
Rb (0.212, 0.053, 0.614)
Rb (0.212, 0.473, 0.617)
Rb (0.473, 0.212, 0.117)
Rb (0.527, 0.788, 0.883)
Rb (0.788, 0.527, 0.383)
Rb (0.788, 0.947, 0.386)
Rb (0.947, 0.788, 0.886)
Ge (0.134, 0.730, 0.388)
Ge (0.267, 0.530, 0.099)
Ge (0.270, 0.866, 0.112)
Ge (0.470, 0.733, 0.401)
Ge (0.530, 0.267, 0.599)
Ge (0.730, 0.134, 0.888)
Ge (0.733, 0.470, 0.901)
Ge (0.866, 0.270, 0.612)
Se (0.005, 0.246, 0.470)
Se (0.112, 0.544, 0.238)
Se (0.114, 0.886, 0.250)
Se (0.243, 0.356, 0.948)
Se (0.246, 0.005, 0.970)
Se (0.246, 0.681, 0.954)
Se (0.319, 0.754, 0.546)
Se (0.356, 0.243, 0.448)
Se (0.454, 0.546, 0.250)
Se (0.456, 0.888, 0.262)
Se (0.544, 0.112, 0.738)
Se (0.546, 0.454, 0.750)
Se (0.644, 0.757, 0.552)
Se (0.681, 0.246, 0.454)
Se (0.754, 0.319, 0.046)
Se (0.754, 0.995, 0.030)
Se (0.757, 0.644, 0.052)
Se (0.886, 0.114, 0.750)
Se (0.888, 0.456, 0.762)
Se (0.995, 0.754, 0.530)

=====

[2]
Compound: RbSmGeSe4
Source: Materials Project
Functional: PBE
Structure: relaxed

Summary:
- theoretical density (kg/m3) = 4686
- energy (eV per cell) = -129.24
- excess energy over the best structure of this formula in the dataset (meV per atom) = 0
- space-group type = No. 19
- E_form (eV per atom) = -1.413

a = 6.856 Å, b = 7.122 Å, c = 18.125 Å
α = 90.00°, β = 90.00°, γ = 90.00°
Atoms (fractional coordinates):
Rb (0.010, 0.005, 0.469)
Rb (0.490, 0.995, 0.969)
Rb (0.510, 0.495, 0.531)
Rb (0.990, 0.505, 0.031)
Sm (0.207, 0.021, 0.726)
Sm (0.293, 0.979, 0.226)
Sm (0.707, 0.479, 0.274)
Sm (0.793, 0.521, 0.774)
Ge (0.210, 0.514, 0.336)
Ge (0.290, 0.486, 0.836)
Ge (0.710, 0.986, 0.664)
Ge (0.790, 0.014, 0.164)
Se (0.054, 0.245, 0.858)
Se (0.063, 0.013, 0.085)
Se (0.096, 0.763, 0.851)
Se (0.100, 0.583, 0.215)
Se (0.400, 0.417, 0.715)
Se (0.404, 0.237, 0.351)
Se (0.437, 0.987, 0.585)
Se (0.446, 0.755, 0.358)
Se (0.554, 0.255, 0.142)
Se (0.563, 0.487, 0.915)
Se (0.596, 0.737, 0.149)
Se (0.600, 0.917, 0.785)
Se (0.900, 0.083, 0.285)
Se (0.904, 0.263, 0.649)
Se (0.937, 0.513, 0.415)
Se (0.946, 0.745, 0.642)

=====

[3]
Compound: RbSmGeSe4
Source: Materials Project
Functional: PBE
Structure: relaxed

Summary:
- theoretical density (kg/m3) = 4686
- energy (eV per cell) = -129.00
- excess energy over the best structure of this formula in the dataset (meV per atom) = 8
- space-group type = No. 1
- E_form (eV per atom) = -1.405

a = 6.856 Å, b = 7.122 Å, c = 18.125 Å
α = 90.00°, β = 90.00°, γ = 90.00°
Atoms (fractional coordinates):
Rb (0.000, 0.000, 0.000)
Rb (0.010, 0.496, 0.436)
Rb (0.500, 0.495, 0.934)
Rb (0.521, 0.991, 0.498)
Sm (0.217, 0.522, 0.692)
Sm (0.296, 0.470, 0.193)
Sm (0.706, 0.980, 0.242)
Sm (0.793, 0.015, 0.743)
Ge (0.220, 0.012, 0.305)
Ge (0.291, 0.979, 0.802)
Ge (0.711, 0.478, 0.631)
Ge (0.800, 0.510, 0.132)
Se (0.054, 0.738, 0.824)
Se (0.070, 0.504, 0.051)
Se (0.094, 0.264, 0.818)
Se (0.111, 0.080, 0.181)
Se (0.402, 0.737, 0.319)
Se (0.411, 0.912, 0.683)
Se (0.444, 0.491, 0.552)
Se (0.456, 0.253, 0.324)
Se (0.557, 0.760, 0.109)
Se (0.564, 0.981, 0.880)
Se (0.598, 0.231, 0.118)
Se (0.602, 0.409, 0.754)
Se (0.906, 0.579, 0.255)
Se (0.913, 0.764, 0.615)
Se (0.943, 0.004, 0.382)
Se (0.947, 0.238, 0.611)

=====

[4]
Compound: Rb14ZnGe16
Source: Materials Project
Functional: PBE
Structure: relaxed

Summary:
- theoretical density (kg/m3) = 3478
- energy (eV per cell) = -189.17
- space-group type = No. 31
- E_form (eV per atom) = -0.182

a = 21.318 Å, b = 7.373 Å, c = 14.727 Å
α = 90.00°, β = 90.00°, γ = 90.00°
Atoms (fractional coordinates):
Rb (0.000, 0.036, 0.114)
Rb (0.000, 0.918, 0.823)
Rb (0.090, 0.963, 0.500)
Rb (0.114, 0.515, 0.978)
Rb (0.145, 0.932, 0.244)
Rb (0.155, 0.197, 0.746)
Rb (0.158, 0.455, 0.425)
Rb (0.248, 0.352, 0.154)
Rb (0.252, 0.648, 0.654)
Rb (0.342, 0.545, 0.925)
Rb (0.345, 0.803, 0.246)
Rb (0.355, 0.068, 0.744)
Rb (0.386, 0.485, 0.478)
Rb (0.410, 0.037, 0.000)
Rb (0.500, 0.082, 0.323)
Rb (0.500, 0.964, 0.614)
Rb (0.590, 0.037, 0.000)
Rb (0.614, 0.485, 0.478)
Rb (0.645, 0.068, 0.744)
Rb (0.655, 0.803, 0.246)
Rb (0.658, 0.545, 0.925)
Rb (0.748, 0.648, 0.654)
Rb (0.752, 0.352, 0.154)
Rb (0.842, 0.455, 0.425)
Rb (0.845, 0.197, 0.746)
Rb (0.855, 0.932, 0.244)
Rb (0.886, 0.515, 0.978)
Rb (0.910, 0.963, 0.500)
Zn (0.000, 0.473, 0.495)
Zn (0.500, 0.527, 0.995)
Ge (0.000, 0.256, 0.636)
Ge (0.000, 0.281, 0.340)
Ge (0.000, 0.446, 0.779)
Ge (0.000, 0.653, 0.339)
Ge (0.062, 0.466, 0.220)
Ge (0.063, 0.572, 0.644)
Ge (0.141, 0.015, 0.983)
Ge (0.215, 0.833, 0.876)
Ge (0.241, 0.855, 0.048)
Ge (0.249, 0.858, 0.443)
Ge (0.251, 0.142, 0.943)
Ge (0.259, 0.145, 0.548)
Ge (0.285, 0.167, 0.376)
Ge (0.359, 0.985, 0.483)
Ge (0.437, 0.428, 0.144)
Ge (0.438, 0.534, 0.720)
Ge (0.500, 0.347, 0.839)
Ge (0.500, 0.554, 0.279)
Ge (0.500, 0.719, 0.840)
Ge (0.500, 0.744, 0.136)
Ge (0.562, 0.534, 0.720)
Ge (0.563, 0.428, 0.144)
Ge (0.641, 0.985, 0.483)
Ge (0.715, 0.167, 0.376)
Ge (0.741, 0.145, 0.548)
Ge (0.749, 0.142, 0.943)
Ge (0.751, 0.858, 0.443)
Ge (0.759, 0.855, 0.048)
Ge (0.785, 0.833, 0.876)
Ge (0.859, 0.015, 0.983)
Ge (0.937, 0.572, 0.644)
Ge (0.938, 0.466, 0.220)

=====

[5]
Compound: Re3Ge
Source: Materials Project
Functional: PBE
Structure: relaxed

Summary:
- theoretical density (kg/m3) = 17482
- energy (eV per cell) = -40.44
- excess energy over the best structure of this formula in the dataset (meV per atom) = 9
- space-group type = No. 139
- E_form (eV per atom) = 0.380

a = 4.940 Å, b = 4.940 Å, c = 4.940 Å
α = 134.70°, β = 134.70°, γ = 65.99°
Atoms (fractional coordinates):
Re (0.000, 0.000, 0.000)
Re (0.250, 0.750, 0.500)
Re (0.750, 0.250, 0.500)
Ge (0.500, 0.500, 0.000)

=====

[6]
Compound: Re4Ge7
Source: Materials Project
Functional: PBE
Structure: relaxed

Summary:
- theoretical density (kg/m3) = 11962
- energy (eV per cell) = -327.21
- space-group type = No. 116
- E_form (eV per atom) = 0.031

a = 6.023 Å, b = 6.023 Å, c = 19.181 Å
α = 90.00°, β = 90.00°, γ = 90.00°
Atoms (fractional coordinates):
Re (0.000, 0.000, 0.000)
Re (0.000, 0.000, 0.250)
Re (0.000, 0.000, 0.500)
Re (0.000, 0.000, 0.750)
Re (0.000, 0.500, 0.064)
Re (0.000, 0.500, 0.307)
Re (0.000, 0.500, 0.564)
Re (0.000, 0.500, 0.807)
Re (0.500, 0.000, 0.193)
Re (0.500, 0.000, 0.436)
Re (0.500, 0.000, 0.693)
Re (0.500, 0.000, 0.936)
Re (0.500, 0.500, 0.130)
Re (0.500, 0.500, 0.370)
Re (0.500, 0.500, 0.630)
Re (0.500, 0.500, 0.870)
Ge (0.152, 0.200, 0.388)
Ge (0.152, 0.800, 0.888)
Ge (0.155, 0.322, 0.682)
Ge (0.155, 0.678, 0.182)
Ge (0.200, 0.152, 0.112)
Ge (0.200, 0.848, 0.612)
Ge (0.232, 0.349, 0.962)
Ge (0.232, 0.651, 0.462)
Ge (0.322, 0.155, 0.818)
Ge (0.322, 0.845, 0.318)
Ge (0.336, 0.336, 0.250)
Ge (0.336, 0.664, 0.750)
Ge (0.349, 0.232, 0.538)
Ge (0.349, 0.768, 0.038)
Ge (0.651, 0.232, 0.038)
Ge (0.651, 0.768, 0.538)
Ge (0.664, 0.336, 0.750)
Ge (0.664, 0.664, 0.250)
Ge (0.678, 0.155, 0.318)
Ge (0.678, 0.845, 0.818)
Ge (0.768, 0.349, 0.462)
Ge (0.768, 0.651, 0.962)
Ge (0.800, 0.152, 0.612)
Ge (0.800, 0.848, 0.112)
Ge (0.845, 0.322, 0.182)
Ge (0.845, 0.678, 0.682)
Ge (0.848, 0.200, 0.888)
Ge (0.848, 0.800, 0.388)

=====

[7]
Compound: Re3Ge
Source: Materials Project
Functional: PBE
Structure: relaxed

Summary:
- theoretical density (kg/m3) = 17559
- energy (eV per cell) = -80.94
- excess energy over the best structure of this formula in the dataset (meV per atom) = 0
- space-group type = No. 194
- E_form (eV per atom) = 0.371

a = 5.556 Å, b = 5.556 Å, c = 4.467 Å
α = 90.00°, β = 90.00°, γ = 120.00°
Atoms (fractional coordinates):
Re (0.169, 0.339, 0.250)
Re (0.169, 0.831, 0.250)
Re (0.339, 0.169, 0.750)
Re (0.661, 0.831, 0.250)
Re (0.831, 0.169, 0.750)
Re (0.831, 0.661, 0.750)
Ge (0.333, 0.667, 0.750)
Ge (0.667, 0.333, 0.250)

=====

[8]
Compound: ScReGe2
Source: Materials Project
Functional: PBE
Structure: relaxed

Summary:
- theoretical density (kg/m3) = 9264
- energy (eV per cell) = -359.33
- space-group type = No. 55
- E_form (eV per atom) = -0.480

a = 9.447 Å, b = 10.214 Å, c = 8.392 Å
α = 90.00°, β = 90.00°, γ = 90.00°
Atoms (fractional coordinates):
Sc (0.166, 0.178, 0.000)
Sc (0.171, 0.452, 0.242)
Sc (0.171, 0.452, 0.758)
Sc (0.329, 0.952, 0.242)
Sc (0.329, 0.952, 0.758)
Sc (0.334, 0.678, 0.000)
Sc (0.666, 0.322, 0.000)
Sc (0.671, 0.048, 0.242)
Sc (0.671, 0.048, 0.758)
Sc (0.829, 0.548, 0.242)
Sc (0.829, 0.548, 0.758)
Sc (0.834, 0.822, 0.000)
Re (0.000, 0.000, 0.243)
Re (0.000, 0.000, 0.757)
Re (0.081, 0.747, 0.249)
Re (0.081, 0.747, 0.751)
Re (0.419, 0.247, 0.249)
Re (0.419, 0.247, 0.751)
Re (0.500, 0.500, 0.243)
Re (0.500, 0.500, 0.757)
Re (0.581, 0.753, 0.249)
Re (0.581, 0.753, 0.751)
Re (0.919, 0.253, 0.249)
Re (0.919, 0.253, 0.751)
Ge (0.039, 0.619, 0.500)
Ge (0.041, 0.618, 0.000)
Ge (0.133, 0.908, 0.500)
Ge (0.139, 0.900, 0.000)
Ge (0.170, 0.182, 0.348)
Ge (0.170, 0.182, 0.652)
Ge (0.330, 0.682, 0.348)
Ge (0.330, 0.682, 0.652)
Ge (0.361, 0.400, 0.000)
Ge (0.367, 0.408, 0.500)
Ge (0.459, 0.118, 0.000)
Ge (0.461, 0.119, 0.500)
Ge (0.539, 0.881, 0.500)
Ge (0.541, 0.882, 0.000)
Ge (0.633, 0.592, 0.500)
Ge (0.639, 0.600, 0.000)
Ge (0.670, 0.318, 0.348)
Ge (0.670, 0.318, 0.652)
Ge (0.830, 0.818, 0.348)
Ge (0.830, 0.818, 0.652)
Ge (0.861, 0.100, 0.000)
Ge (0.867, 0.092, 0.500)
Ge (0.959, 0.382, 0.000)
Ge (0.961, 0.381, 0.500)

=====

[9]
Compound: ReSnGe
Source: Materials Project
Functional: PBE
Structure: relaxed

Summary:
- theoretical density (kg/m3) = 10457
- energy (eV per cell) = -18.24
- space-group type = No. 216
- E_form (eV per atom) = 0.947

a = 4.393 Å, b = 4.393 Å, c = 4.393 Å
α = 60.00°, β = 60.00°, γ = 60.00°
Atoms (fractional coordinates):
Re (0.000, 0.000, 0.000)
Sn (0.500, 0.500, 0.500)
Ge (0.250, 0.250, 0.250)

=====

[10]
Compound: GeRh2
Source: Materials Project
Functional: PBE
Structure: relaxed

Summary:
- theoretical density (kg/m3) = 10726
- energy (eV per cell) = -82.90
- space-group type = No. 62
- E_form (eV per atom) = -0.458

a = 5.532 Å, b = 4.063 Å, c = 7.672 Å
α = 90.00°, β = 90.00°, γ = 90.00°
Atoms (fractional coordinates):
Ge (0.213, 0.250, 0.104)
Ge (0.287, 0.750, 0.604)
Ge (0.713, 0.250, 0.396)
Ge (0.787, 0.750, 0.896)
Rh (0.029, 0.250, 0.795)
Rh (0.163, 0.250, 0.430)
Rh (0.337, 0.750, 0.930)
Rh (0.471, 0.750, 0.295)
Rh (0.529, 0.250, 0.705)
Rh (0.663, 0.250, 0.070)
Rh (0.837, 0.750, 0.570)
Rh (0.971, 0.750, 0.205)

=====

[11]
Compound: Ge3Rh
Source: Materials Project
Functional: PBE
Structure: relaxed

Summary:
- theoretical density (kg/m3) = 7909
- energy (eV per cell) = -20.87
- space-group type = No. 139
- E_form (eV per atom) = 0.090

a = 4.794 Å, b = 4.794 Å, c = 4.794 Å
α = 127.44°, β = 127.44°, γ = 77.54°
Atoms (fractional coordinates):
Ge (0.000, 0.000, 0.000)
Ge (0.250, 0.750, 0.500)
Ge (0.750, 0.250, 0.500)
Rh (0.500, 0.500, 0.000)

=====

[12]
Compound: Ge3Rh5
Source: Materials Project
Functional: PBE
Structure: relaxed

Summary:
- theoretical density (kg/m3) = 10430
- energy (eV per cell) = -108.87
- space-group type = No. 55
- E_form (eV per atom) = -0.468

a = 5.499 Å, b = 10.494 Å, c = 4.041 Å
α = 90.00°, β = 90.00°, γ = 90.00°
Atoms (fractional coordinates):
Ge (0.000, 0.000, 0.000)
Ge (0.108, 0.349, 0.500)
Ge (0.392, 0.849, 0.500)
Ge (0.500, 0.500, 0.000)
Ge (0.608, 0.151, 0.500)
Ge (0.892, 0.651, 0.500)
Rh (0.000, 0.500, 0.000)
Rh (0.150, 0.782, 0.000)
Rh (0.171, 0.107, 0.500)
Rh (0.329, 0.607, 0.500)
Rh (0.350, 0.282, 0.000)
Rh (0.500, 0.000, 0.000)
Rh (0.650, 0.718, 0.000)
Rh (0.671, 0.393, 0.500)
Rh (0.829, 0.893, 0.500)
Rh (0.850, 0.218, 0.000)